Material: SrPH7CO6
Method: DFT, PBE-GGA
State: relaxed

Unit cell a=8.222 b=9.359 c=20.574 alpha=90.00 beta=90.00 gamma=90.00
Positions (direct):
Sr  0.239  0.338  0.233
Sr  0.739  0.162  0.767
Sr  0.761  0.838  0.267
Sr  0.261  0.662  0.733
Sr  0.761  0.662  0.767
Sr  0.261  0.838  0.233
Sr  0.239  0.162  0.733
Sr  0.739  0.338  0.267
P  0.094  0.578  0.329
P  0.594  0.922  0.671
P  0.906  0.078  0.171
P  0.406  0.422  0.829
P  0.906  0.422  0.671
P  0.406  0.078  0.329
P  0.094  0.922  0.829
P  0.594  0.578  0.171
H  0.542  0.304  0.408
H  0.042  0.196  0.592
H  0.458  0.804  0.092
H  0.958  0.696  0.908
H  0.458  0.696  0.592
H  0.958  0.804  0.408
H  0.542  0.196  0.908
H  0.042  0.304  0.092
H  0.957  0.155  0.488
H  0.457  0.345  0.512
H  0.043  0.655  0.012
H  0.543  0.845  0.988
H  0.043  0.845  0.512
H  0.543  0.655  0.488
H  0.957  0.345  0.988
H  0.457  0.155  0.012
H  0.891  0.193  0.416
H  0.391  0.307  0.584
H  0.109  0.693  0.084
H  0.609  0.807  0.916
H  0.109  0.807  0.584
H  0.609  0.693  0.416
H  0.891  0.307  0.916
H  0.391  0.193  0.084
H  0.596  0.448  0.444
H  0.096  0.052  0.556
H  0.404  0.948  0.056
H  0.904  0.552  0.944
H  0.404  0.552  0.556
H  0.904  0.948  0.444
H  0.596  0.052  0.944
H  0.096  0.448  0.056
H  0.229  0.448  0.415
H  0.729  0.052  0.585
H  0.771  0.948  0.085
H  0.271  0.552  0.915
H  0.771  0.552  0.585
H  0.271  0.948  0.415
H  0.229  0.052  0.915
H  0.729  0.448  0.085
H  0.222  0.634  0.434
H  0.722  0.866  0.566
H  0.778  0.134  0.066
H  0.278  0.366  0.934
H  0.778  0.366  0.566
H  0.278  0.134  0.434
H  0.222  0.866  0.934
H  0.722  0.634  0.066
H  0.042  0.528  0.440
H  0.542  0.972  0.560
H  0.958  0.028  0.060
H  0.458  0.472  0.940
H  0.958  0.472  0.560
H  0.458  0.028  0.440
H  0.042  0.972  0.940
H  0.542  0.528  0.060
C  0.154  0.545  0.412
C  0.654  0.955  0.588
C  0.846  0.045  0.088
C  0.346  0.455  0.912
C  0.846  0.455  0.588
C  0.346  0.045  0.412
C  0.154  0.955  0.912
C  0.654  0.545  0.088
O  0.352  0.090  0.188
O  0.852  0.410  0.812
O  0.648  0.590  0.312
O  0.148  0.910  0.688
O  0.648  0.910  0.812
O  0.148  0.590  0.188
O  0.352  0.410  0.688
O  0.852  0.090  0.312
O  0.005  0.443  0.305
O  0.505  0.057  0.695
O  0.995  0.943  0.195
O  0.495  0.557  0.805
O  0.995  0.557  0.695
O  0.495  0.943  0.305
O  0.005  0.057  0.805
O  0.505  0.443  0.195
O  0.999  0.720  0.324
O  0.499  0.780  0.676
O  0.001  0.220  0.176
O  0.501  0.280  0.824
O  0.001  0.280  0.676
O  0.501  0.220  0.324
O  0.999  0.780  0.824
O  0.499  0.720  0.176
O  0.258  0.592  0.290
O  0.758  0.908  0.710
O  0.742  0.092  0.210
O  0.242  0.408  0.790
O  0.742  0.408  0.710
O  0.242  0.092  0.290
O  0.258  0.908  0.790
O  0.758  0.592  0.210
O  0.584  0.342  0.449
O  0.084  0.158  0.551
O  0.416  0.842  0.051
O  0.916  0.658  0.949
O  0.416  0.658  0.551
O  0.916  0.842  0.449
O  0.584  0.158  0.949
O  0.084  0.342  0.051
O  0.881  0.125  0.452
O  0.381  0.375  0.548
O  0.119  0.625  0.048
O  0.619  0.875  0.952
O  0.119  0.875  0.548
O  0.619  0.625  0.452
O  0.881  0.375  0.952
O  0.381  0.125  0.048

Results
The total energy comes out at -87.5 eV/f.u. The value obtained for the formation energy is -1368 meV per atom. The theoretical density comes out at 1.96 Mg/m³.

=====

Material: BaCu3O4
Method: DFT, PBE-GGA
State: relaxed

Unit cell a=5.039 b=5.912 c=6.821 alpha=115.68 beta=90.00 gamma=90.00
Positions (direct):
Ba  0.000  0.500  0.000
Cu  0.000  0.746  0.491
Cu  0.000  0.254  0.509
Cu  0.000  0.000  0.000
O  0.000  0.629  0.706
O  0.000  0.077  0.706
O  0.000  0.923  0.294
O  0.000  0.371  0.294

Results
The total energy comes out at -39.8 eV/f.u. The value obtained for the formation energy is -1064 meV per atom. The calculation puts the relative energy among the computed polymorphs at 393 meV/atom. The theoretical density comes out at 3.55 Mg/m³.

=====

Material: La4Pt
Method: DFT, PBE-GGA
State: relaxed

Unit cell a=8.150 b=8.150 c=8.150 alpha=60.00 beta=60.00 gamma=60.00
Positions (direct):
La  0.611  0.611  0.611
La  0.166  0.611  0.611
La  0.611  0.166  0.611
La  0.584  0.139  0.139
La  0.139  0.139  0.139
La  0.611  0.611  0.166
La  0.139  0.584  0.139
La  0.139  0.139  0.584
Pt  0.000  0.000  0.000
Pt  0.750  0.750  0.750

Results
The total energy comes out at -26.5 eV/f.u. The value obtained for the formation energy is -128 meV per atom. The theoretical density comes out at 6.51 Mg/m³.

=====

Material: PaTiTc2
Method: DFT, PBE-GGA
State: relaxed

Unit cell a=4.642 b=4.642 c=4.642 alpha=60.00 beta=60.00 gamma=60.00
Positions (direct):
Pa  0.500  0.500  0.500
Ti  0.000  0.000  0.000
Tc  0.750  0.750  0.750
Tc  0.250  0.250  0.250

Results
The total energy comes out at -39.5 eV/f.u. The value obtained for the formation energy is -343 meV per atom. The theoretical density comes out at 11.15 Mg/m³.

=====

Material: Zn2GaSe4
Method: DFT, PBE-GGA
State: relaxed

Unit cell a=6.776 b=6.776 c=6.776 alpha=131.18 beta=131.18 gamma=71.52
Positions (direct):
Zn  0.250  0.750  0.500
Zn  0.750  0.250  0.500
Ga  0.000  0.000  0.000
Se  0.853  0.380  0.000
Se  0.380  0.853  0.000
Se  0.620  0.620  0.473
Se  0.147  0.147  0.527

Results
The total energy comes out at -23.1 eV/f.u. The value obtained for the formation energy is -779 meV per atom. The theoretical density comes out at 4.97 Mg/m³.

=====

Material: BaIrO3
Method: DFT, PBE-GGA
State: relaxed

Unit cell a=5.873 b=5.873 c=15.217 alpha=78.69 beta=78.69 gamma=59.44
Positions (direct):
Ba  0.220  0.220  0.250
Ba  0.780  0.780  0.750
Ba  0.629  0.629  0.074
Ba  0.371  0.371  0.926
Ba  0.849  0.849  0.422
Ba  0.151  0.151  0.578
Ir  0.913  0.913  0.176
Ir  0.087  0.087  0.824
Ir  0.000  0.000  0.000
Ir  0.530  0.530  0.325
Ir  0.470  0.470  0.675
Ir  0.500  0.500  0.500
O  0.704  0.704  0.228
O  0.296  0.296  0.772
O  0.689  0.189  0.264
O  0.811  0.311  0.736
O  0.311  0.811  0.736
O  0.189  0.689  0.264
O  0.104  0.104  0.101
O  0.896  0.896  0.899
O  0.646  0.118  0.083
O  0.882  0.354  0.917
O  0.354  0.882  0.917
O  0.118  0.646  0.083
O  0.366  0.828  0.405
O  0.172  0.634  0.595
O  0.634  0.172  0.595
O  0.828  0.366  0.405
O  0.356  0.356  0.426
O  0.644  0.644  0.574

Results
The total energy comes out at -33.6 eV/f.u. The value obtained for the formation energy is -2007 meV per atom. The theoretical density comes out at 8.54 Mg/m³.